# Mg2GeB2Ir5

A relaxed structure of Mg2GeB2Ir5 (PBE, the Materials Project).

Computed properties:
ΔE_f   -500.2 meV/atom

Lattice parameters (Å, degrees): 2.9573 9.4713 9.4713 90.00 90.00 90.00
With the nearest neighbours (Å) after each atom.
Positions (direct):
Ir 0.5000 0.4269 0.2867  2 B 2.18
Ir 0.5000 0.7867 0.9269  2 B 2.18
Ir 0.5000 0.2867 0.5731  2 B 2.18
Ir 0.5000 0.0000 0.5000  4 B 2.24
Ir 0.5000 0.5731 0.7133  2 B 2.18
Ir 0.5000 0.0731 0.7867  2 B 2.18
Ir 0.5000 0.5000 0.0000  4 B 2.24
Ir 0.5000 0.7133 0.4269  2 B 2.18
Ir 0.5000 0.9269 0.2133  2 B 2.18
Ir 0.5000 0.2133 0.0731  2 B 2.18
Mg 0.0000 0.1743 0.3257  3 B 2.68-2.88, 10 Ir 2.76-2.97, 2 Mg 2.96
Mg 0.0000 0.8257 0.6743  3 B 2.68-2.88, 10 Ir 2.76-2.97, 2 Mg 2.96
Mg 0.0000 0.3257 0.8257  3 B 2.68-2.88, 10 Ir 2.76-2.97, 2 Mg 2.96
Mg 0.0000 0.6743 0.1743  3 B 2.68-2.88, 10 Ir 2.76-2.97, 2 Mg 2.96
Ge 0.0000 0.0000 0.0000  8 Ir 2.60
Ge 0.0000 0.5000 0.5000  8 Ir 2.60
B 0.0000 0.6256 0.8744  6 Ir 2.18-2.24
B 0.0000 0.3744 0.1256  6 Ir 2.18-2.24
B 0.0000 0.1256 0.6256  6 Ir 2.18-2.24
B 0.0000 0.8744 0.3744  6 Ir 2.18-2.24